Entry 1:
# meta-GGA r2SCAN DyLuRh2, relaxed
# Formation energy, eV/atom: -1.0100
# Magnetization, μB/f.u.: 0.0
data_DyLuRh2
_chemical_formula_sum 'Dy4 Lu4 Rh8'
_cell_length_a 6.7281
_cell_length_b 6.7281
_cell_length_c 6.7281
_cell_angle_alpha 90.00
_cell_angle_beta 90.00
_cell_angle_gamma 90.00
_symmetry_space_group_name_H-M 'F m -3 m'
_symmetry_Int_Tables_number 225
_symmetry_space_group_name_Hall '-F 4 2 3'
loop_
_atom_site_label
_atom_site_type_symbol
_atom_site_fract_x
_atom_site_fract_y
_atom_site_fract_z
_atom_site_occupancy
Dy1 Dy 0.0000 0.0000 0.0000 1
Lu1 Lu 0.0000 0.0000 0.5000 1
Rh1 Rh 0.2500 0.2500 0.2500 1



Entry 2:
# meta-GGA r2SCAN DyLuRu2, relaxed
# Formation energy, eV/atom: -0.4472
# Magnetization, μB/f.u.: 0.0
data_DyLuRu2
_chemical_formula_sum 'Dy4 Lu4 Ru8'
_cell_length_a 6.6840
_cell_length_b 6.6840
_cell_length_c 6.6840
_cell_angle_alpha 90.00
_cell_angle_beta 90.00
_cell_angle_gamma 90.00
_symmetry_space_group_name_H-M 'F m -3 m'
_symmetry_Int_Tables_number 225
_symmetry_space_group_name_Hall '-F 4 2 3'
loop_
_atom_site_label
_atom_site_type_symbol
_atom_site_fract_x
_atom_site_fract_y
_atom_site_fract_z
_atom_site_occupancy
Dy1 Dy 0.0000 0.0000 0.0000 1
Lu1 Lu 0.0000 0.0000 0.5000 1
Ru1 Ru 0.2500 0.2500 0.2500 1



Entry 3:
# meta-GGA r2SCAN DyLuTl2, relaxed
# Formation energy, eV/atom: -0.3925
# Magnetization, μB/f.u.: 0.0
data_DyLuTl2
_chemical_formula_sum 'Dy4 Lu4 Tl8'
_cell_length_a 7.4712
_cell_length_b 7.4712
_cell_length_c 7.4712
_cell_angle_alpha 90.00
_cell_angle_beta 90.00
_cell_angle_gamma 90.00
_symmetry_space_group_name_H-M 'F m -3 m'
_symmetry_Int_Tables_number 225
_symmetry_space_group_name_Hall '-F 4 2 3'
loop_
_atom_site_label
_atom_site_type_symbol
_atom_site_fract_x
_atom_site_fract_y
_atom_site_fract_z
_atom_site_occupancy
Dy1 Dy 0.0000 0.0000 0.0000 1
Lu1 Lu 0.0000 0.0000 0.5000 1
Tl1 Tl 0.2500 0.2500 0.2500 1